{"formula": "KGaCoC4Cl3O4", "functional": "PBE with a Hubbard U", "state": "relaxed", "sg": "P2_1/c", "total_magnetization_mub_per_cell": 0.0, "e_tot_ev_per_atom": -6.01, "ef_mev_per_atom": -1078, "lattice": [[-7.947, -1.829, -4.357], [-4.302, -4.856, 9.885], [-5.504, 8.876, 6.313]], "species": ["C", "C", "C", "C", "C", "C", "C", "C", "C", "C", "C", "C", "C", "C", "C", "C", "Cl", "Cl", "Cl", "Cl", "Cl", "Cl", "Cl", "Cl", "Cl", "Cl", "Cl", "Cl", "K", "K", "K", "K", "O", "O", "O", "O", "O", "O", "O", "O", "O", "O", "O", "O", "O", "O", "O", "O", "Co", "Co", "Co", "Co", "Ga", "Ga", "Ga", "Ga"], "frac_coords": [[0.082, 0.976, 0.658], [0.656, 0.172, 0.287], [0.237, 0.447, 0.497], [0.112, 0.756, 0.571], [0.263, 0.947, 0.497], [0.763, 0.553, 0.503], [0.612, 0.744, 0.429], [0.582, 0.524, 0.342], [0.737, 0.053, 0.503], [0.418, 0.476, 0.658], [0.344, 0.828, 0.713], [0.918, 0.024, 0.342], [0.844, 0.672, 0.287], [0.888, 0.244, 0.429], [0.156, 0.328, 0.713], [0.388, 0.256, 0.571], [0.179, 0.286, 0.239], [0.958, 0.181, 0.057], [0.679, 0.214, 0.761], [0.821, 0.714, 0.761], [0.143, 0.561, 0.870], [0.857, 0.439, 0.130], [0.542, 0.681, 0.057], [0.042, 0.819, 0.943], [0.643, 0.939, 0.130], [0.357, 0.061, 0.870], [0.458, 0.319, 0.943], [0.321, 0.786, 0.239], [0.686, 0.918, 0.871], [0.186, 0.582, 0.129], [0.314, 0.082, 0.129], [0.814, 0.418, 0.871], [0.049, 0.310, 0.764], [0.549, 0.190, 0.236], [0.811, 0.500, 0.592], [0.932, 0.313, 0.472], [0.951, 0.690, 0.236], [0.451, 0.810, 0.764], [0.068, 0.687, 0.528], [0.689, 0.000, 0.592], [0.518, 0.446, 0.324], [0.311, 0.000, 0.408], [0.432, 0.187, 0.528], [0.189, 0.500, 0.408], [0.018, 0.054, 0.676], [0.568, 0.813, 0.472], [0.982, 0.946, 0.324], [0.482, 0.554, 0.676], [0.186, 0.864, 0.628], [0.814, 0.136, 0.372], [0.314, 0.364, 0.628], [0.686, 0.636, 0.372], [0.556, 0.755, 0.206], [0.056, 0.745, 0.794], [0.444, 0.245, 0.794], [0.944, 0.255, 0.206]]}